# Li2Fe2S3

Li2Fe2S3 after structural relaxation (PBE-GGA, Materials Project).

Unit cell a=9.249 b=9.249 c=6.516 alpha=110.19 beta=110.19 gamma=80.92
Element x y z (fractional)
1 Li 0.077 0.923 0.750
2 Li 0.223 0.777 0.250
3 Li 0.324 0.491 0.955
4 Li 0.491 0.324 0.455
5 Li 0.509 0.676 0.545
6 Li 0.676 0.509 0.045
7 Li 0.777 0.223 0.750
8 Li 0.923 0.077 0.250
9 Fe 0.059 0.563 0.399
10 Fe 0.129 0.287 0.125
11 Fe 0.287 0.129 0.625
12 Fe 0.437 0.941 0.101
13 Fe 0.563 0.059 0.899
14 Fe 0.713 0.871 0.375
15 Fe 0.871 0.713 0.875
16 Fe 0.941 0.437 0.601
17 S 0.058 0.219 0.718
18 S 0.106 0.648 0.798
19 S 0.219 0.058 0.218
20 S 0.285 0.493 0.311
21 S 0.352 0.894 0.702
22 S 0.493 0.285 0.811
23 S 0.507 0.715 0.189
24 S 0.648 0.106 0.298
25 S 0.715 0.507 0.689
26 S 0.781 0.942 0.782
27 S 0.894 0.352 0.202
28 S 0.942 0.781 0.282

Energy relative to the elements, eV per atom: -0.898
SG: C2/c, No. 15
Offset from the most stable computed form, meV/atom: 0